Crystalline H22IrC3N6O8 at its relaxed geometry, computed with PBE.

ΔH_f (0 K)   -0.8316 eV per atom
Total moment   0.00 μB/f.u.
Space group   Pnnm, No. 58

a = 9.705 Å, b = 10.426 Å, c = 13.473 Å
α = 90.00°, β = 90.00°, γ = 90.00°
Sites, in units of the cell vectors:
H (0.019, 0.148, 0.160)
H (0.019, 0.148, 0.840)
H (0.051, 0.239, 0.439)
H (0.051, 0.239, 0.561)
H (0.084, 0.778, 0.078)
H (0.084, 0.778, 0.922)
H (0.097, 0.854, 0.351)
H (0.097, 0.854, 0.649)
H (0.147, 0.007, 0.333)
H (0.147, 0.007, 0.667)
H (0.147, 0.896, 0.147)
H (0.147, 0.896, 0.853)
H (0.161, 0.242, 0.284)
H (0.161, 0.242, 0.716)
H (0.176, 0.191, 0.000)
H (0.188, 0.181, 0.500)
H (0.228, 0.914, 0.415)
H (0.228, 0.914, 0.585)
H (0.233, 0.649, 0.270)
H (0.233, 0.649, 0.730)
H (0.247, 0.571, 0.439)
H (0.247, 0.571, 0.561)
H (0.253, 0.071, 0.061)
H (0.253, 0.071, 0.939)
H (0.267, 0.149, 0.230)
H (0.267, 0.149, 0.770)
H (0.272, 0.414, 0.085)
H (0.272, 0.414, 0.915)
H (0.312, 0.681, 0.000)
H (0.324, 0.691, 0.500)
H (0.339, 0.742, 0.216)
H (0.339, 0.742, 0.784)
H (0.353, 0.396, 0.353)
H (0.353, 0.396, 0.647)
H (0.353, 0.507, 0.167)
H (0.353, 0.507, 0.833)
H (0.403, 0.354, 0.149)
H (0.403, 0.354, 0.851)
H (0.416, 0.278, 0.422)
H (0.416, 0.278, 0.578)
H (0.449, 0.739, 0.061)
H (0.449, 0.739, 0.939)
H (0.481, 0.648, 0.340)
H (0.481, 0.648, 0.660)
H (0.519, 0.352, 0.340)
H (0.519, 0.352, 0.660)
H (0.551, 0.261, 0.061)
H (0.551, 0.261, 0.939)
H (0.584, 0.722, 0.422)
H (0.584, 0.722, 0.578)
H (0.597, 0.646, 0.149)
H (0.597, 0.646, 0.851)
H (0.647, 0.493, 0.167)
H (0.647, 0.493, 0.833)
H (0.647, 0.604, 0.353)
H (0.647, 0.604, 0.647)
H (0.661, 0.258, 0.216)
H (0.661, 0.258, 0.784)
H (0.676, 0.309, 0.500)
H (0.688, 0.319, 0.000)
H (0.728, 0.586, 0.085)
H (0.728, 0.586, 0.915)
H (0.733, 0.851, 0.230)
H (0.733, 0.851, 0.770)
H (0.747, 0.929, 0.061)
H (0.747, 0.929, 0.939)
H (0.753, 0.429, 0.439)
H (0.753, 0.429, 0.561)
H (0.767, 0.351, 0.270)
H (0.767, 0.351, 0.730)
H (0.772, 0.086, 0.415)
H (0.772, 0.086, 0.585)
H (0.812, 0.819, 0.500)
H (0.824, 0.809, 0.000)
H (0.839, 0.758, 0.284)
H (0.839, 0.758, 0.716)
H (0.853, 0.104, 0.147)
H (0.853, 0.104, 0.853)
H (0.853, 0.993, 0.333)
H (0.853, 0.993, 0.667)
H (0.903, 0.146, 0.351)
H (0.903, 0.146, 0.649)
H (0.916, 0.222, 0.078)
H (0.916, 0.222, 0.922)
H (0.949, 0.761, 0.439)
H (0.949, 0.761, 0.561)
H (0.981, 0.852, 0.160)
H (0.981, 0.852, 0.840)
Ir (0.000, 0.000, 0.000)
Ir (0.000, 0.000, 0.500)
Ir (0.500, 0.500, 0.000)
Ir (0.500, 0.500, 0.500)
C (0.002, 0.575, 0.000)
C (0.023, 0.428, 0.327)
C (0.023, 0.428, 0.673)
C (0.477, 0.928, 0.173)
C (0.477, 0.928, 0.827)
C (0.498, 0.075, 0.500)
C (0.502, 0.925, 0.500)
C (0.523, 0.072, 0.173)
C (0.523, 0.072, 0.827)
C (0.977, 0.572, 0.327)
C (0.977, 0.572, 0.673)
C (0.998, 0.425, 0.000)
N (0.060, 0.866, 0.110)
N (0.060, 0.866, 0.890)
N (0.082, 0.187, 0.500)
N (0.133, 0.936, 0.386)
N (0.133, 0.936, 0.614)
N (0.194, 0.092, 0.000)
N (0.306, 0.592, 0.500)
N (0.367, 0.436, 0.114)
N (0.367, 0.436, 0.886)
N (0.418, 0.687, 0.000)
N (0.440, 0.366, 0.390)
N (0.440, 0.366, 0.610)
N (0.560, 0.634, 0.390)
N (0.560, 0.634, 0.610)
N (0.582, 0.313, 0.000)
N (0.633, 0.564, 0.114)
N (0.633, 0.564, 0.886)
N (0.694, 0.408, 0.500)
N (0.806, 0.908, 0.000)
N (0.867, 0.064, 0.386)
N (0.867, 0.064, 0.614)
N (0.918, 0.813, 0.500)
N (0.940, 0.134, 0.110)
N (0.940, 0.134, 0.890)
O (0.070, 0.658, 0.332)
O (0.070, 0.658, 0.668)
O (0.113, 0.366, 0.000)
O (0.119, 0.628, 0.000)
O (0.152, 0.406, 0.325)
O (0.152, 0.406, 0.675)
O (0.172, 0.154, 0.257)
O (0.172, 0.154, 0.743)
O (0.328, 0.654, 0.243)
O (0.328, 0.654, 0.757)
O (0.348, 0.906, 0.175)
O (0.348, 0.906, 0.825)
O (0.381, 0.128, 0.500)
O (0.387, 0.866, 0.500)
O (0.430, 0.158, 0.168)
O (0.430, 0.158, 0.832)
O (0.570, 0.842, 0.168)
O (0.570, 0.842, 0.832)
O (0.613, 0.134, 0.500)
O (0.619, 0.872, 0.500)
O (0.652, 0.094, 0.175)
O (0.652, 0.094, 0.825)
O (0.672, 0.346, 0.243)
O (0.672, 0.346, 0.757)
O (0.828, 0.846, 0.257)
O (0.828, 0.846, 0.743)
O (0.848, 0.594, 0.325)
O (0.848, 0.594, 0.675)
O (0.881, 0.372, 0.000)
O (0.887, 0.634, 0.000)
O (0.930, 0.342, 0.332)
O (0.930, 0.342, 0.668)

---

Crystalline HoPbAu at its relaxed geometry, computed with PBE.

ΔH_f (0 K)   -0.6681 eV per atom
Space group   F-43m, No. 216

a = 6.831 Å, b = 6.831 Å, c = 6.831 Å
α = 90.00°, β = 90.00°, γ = 90.00°
Sites, in units of the cell vectors:
Ho (0.000, 0.000, 0.000)
Ho (0.000, 0.500, 0.500)
Ho (0.500, 0.000, 0.500)
Ho (0.500, 0.500, 0.000)
Pb (0.000, 0.000, 0.500)
Pb (0.000, 0.500, 0.000)
Pb (0.500, 0.000, 0.000)
Pb (0.500, 0.500, 0.500)
Au (0.250, 0.250, 0.750)
Au (0.250, 0.750, 0.250)
Au (0.750, 0.250, 0.250)
Au (0.750, 0.750, 0.750)

---

Crystalline K2InGaI6 at its relaxed geometry, computed with PBE.

ΔH_f (0 K)   -1.0433 eV per atom
Total moment   0.00 μB/f.u.
Space group   Fm-3m, No. 225

a = 8.557 Å, b = 8.557 Å, c = 8.557 Å
α = 60.00°, β = 60.00°, γ = 60.00°
Sites, in units of the cell vectors:
K (0.250, 0.250, 0.250)
K (0.750, 0.750, 0.750)
In (0.000, 0.000, 0.000)
Ga (0.500, 0.500, 0.500)
I (0.245, 0.245, 0.755)
I (0.245, 0.755, 0.245)
I (0.245, 0.755, 0.755)
I (0.755, 0.245, 0.245)
I (0.755, 0.245, 0.755)
I (0.755, 0.755, 0.245)

---

Crystalline CeSe2 at its relaxed geometry, computed with PBE.

ΔH_f (0 K)   -1.4192 eV per atom
Total moment   0.00 μB/f.u.
Space group   Pm, No. 6

a = 7.518 Å, b = 8.909 Å, c = 8.337 Å
α = 90.00°, β = 105.79°, γ = 90.00°
Sites, in units of the cell vectors:
Ce (0.000, 0.000, 0.000)
Ce (0.004, 0.500, 0.044)
Ce (0.428, 0.500, 0.704)
Ce (0.474, 0.000, 0.465)
Se (0.284, 0.244, 0.536)
Se (0.284, 0.756, 0.536)
Se (0.356, 0.500, 0.009)
Se (0.378, 0.000, 0.122)
Se (0.796, 0.500, 0.719)
Se (0.830, 0.000, 0.663)
Se (0.887, 0.238, 0.155)
Se (0.887, 0.762, 0.155)

---

Crystalline TbH3 at its relaxed geometry, computed with PBE.

ΔH_f (0 K)   -0.7286 eV per atom
Space group   P-3c1, No. 165

a = 6.376 Å, b = 6.376 Å, c = 6.627 Å
α = 90.00°, β = 90.00°, γ = 120.00°
Sites, in units of the cell vectors:
Tb (0.000, 0.337, 0.250)
Tb (0.000, 0.663, 0.750)
Tb (0.337, 0.000, 0.250)
Tb (0.337, 0.337, 0.750)
Tb (0.663, 0.000, 0.750)
Tb (0.663, 0.663, 0.250)
H (0.000, 0.000, 0.250)
H (0.000, 0.000, 0.750)
H (0.027, 0.349, 0.907)
H (0.027, 0.678, 0.407)
H (0.322, 0.349, 0.407)
H (0.322, 0.973, 0.907)
H (0.333, 0.667, 0.181)
H (0.333, 0.667, 0.681)
H (0.349, 0.027, 0.593)
H (0.349, 0.322, 0.093)
H (0.651, 0.678, 0.907)
H (0.651, 0.973, 0.407)
H (0.667, 0.333, 0.319)
H (0.667, 0.333, 0.819)
H (0.678, 0.027, 0.093)
H (0.678, 0.651, 0.593)
H (0.973, 0.322, 0.593)
H (0.973, 0.651, 0.093)

---

Crystalline ZnGa2S4 at its relaxed geometry, computed with PBE.

ΔH_f (0 K)   -0.9286 eV per atom
Total moment   0.00 μB/f.u.
Space group   C2/c, No. 15

a = 13.040 Å, b = 13.040 Å, c = 6.395 Å
α = 98.48°, β = 98.48°, γ = 121.19°
Sites, in units of the cell vectors:
Zn (0.044, 0.956, 0.750)
Zn (0.126, 0.874, 0.250)
Zn (0.215, 0.785, 0.750)
Zn (0.785, 0.215, 0.250)
Zn (0.874, 0.126, 0.750)
Zn (0.956, 0.044, 0.250)
Ga (0.110, 0.515, 0.154)
Ga (0.160, 0.414, 0.626)
Ga (0.243, 0.324, 0.123)
Ga (0.324, 0.243, 0.623)
Ga (0.414, 0.160, 0.126)
Ga (0.485, 0.890, 0.346)
Ga (0.515, 0.110, 0.654)
Ga (0.586, 0.840, 0.874)
Ga (0.676, 0.757, 0.377)
Ga (0.757, 0.676, 0.877)
Ga (0.840, 0.586, 0.374)
Ga (0.890, 0.485, 0.846)
S (0.030, 0.766, 0.514)
S (0.059, 0.146, 0.986)
S (0.091, 0.658, 0.005)
S (0.146, 0.059, 0.486)
S (0.180, 0.581, 0.520)
S (0.234, 0.970, 0.986)
S (0.252, 0.489, 0.005)
S (0.319, 0.402, 0.505)
S (0.342, 0.909, 0.495)
S (0.402, 0.319, 0.005)
S (0.419, 0.820, 0.980)
S (0.489, 0.252, 0.505)
S (0.511, 0.748, 0.495)
S (0.581, 0.180, 0.020)
S (0.598, 0.681, 0.995)
S (0.658, 0.091, 0.505)
S (0.681, 0.598, 0.495)
S (0.748, 0.511, 0.995)
S (0.766, 0.030, 0.014)
S (0.820, 0.419, 0.480)
S (0.854, 0.941, 0.514)
S (0.909, 0.342, 0.995)
S (0.941, 0.854, 0.014)
S (0.970, 0.234, 0.486)

---

Crystalline K3AsF6 at its relaxed geometry, computed with PBE.

ΔH_f (0 K)   -2.7577 eV per atom
Total moment   0.00 μB/f.u.
Space group   Fm-3m, No. 225

a = 6.483 Å, b = 6.483 Å, c = 6.483 Å
α = 60.00°, β = 60.00°, γ = 60.00°
Sites, in units of the cell vectors:
K (0.000, 0.000, 0.000)
K (0.250, 0.250, 0.250)
K (0.750, 0.750, 0.750)
As (0.500, 0.500, 0.500)
F (0.275, 0.275, 0.725)
F (0.275, 0.725, 0.275)
F (0.275, 0.725, 0.725)
F (0.725, 0.275, 0.275)
F (0.725, 0.275, 0.725)
F (0.725, 0.725, 0.275)

---

Crystalline CsZr6MnCl14 at its relaxed geometry, computed with PBE.

ΔH_f (0 K)   -2.0618 eV per atom
Total moment   0.00 μB/f.u.
Space group   Cmce, No. 64

a = 9.887 Å, b = 9.887 Å, c = 12.098 Å
α = 90.00°, β = 90.00°, γ = 84.08°
Sites, in units of the cell vectors:
Cs (0.000, 0.000, 0.000)
Cs (0.500, 0.500, 0.500)
Zr (0.048, 0.191, 0.618)
Zr (0.151, 0.849, 0.610)
Zr (0.191, 0.048, 0.382)
Zr (0.309, 0.452, 0.882)
Zr (0.349, 0.651, 0.110)
Zr (0.452, 0.309, 0.118)
Zr (0.548, 0.691, 0.882)
Zr (0.651, 0.349, 0.890)
Zr (0.691, 0.548, 0.118)
Zr (0.809, 0.952, 0.618)
Zr (0.849, 0.151, 0.390)
Zr (0.952, 0.809, 0.382)
Mn (0.000, 0.000, 0.500)
Mn (0.500, 0.500, 0.000)
Cl (0.036, 0.210, 0.255)
Cl (0.101, 0.399, 0.750)
Cl (0.116, 0.637, 0.493)
Cl (0.137, 0.616, 0.993)
Cl (0.156, 0.844, 0.243)
Cl (0.210, 0.036, 0.745)
Cl (0.249, 0.249, 0.500)
Cl (0.251, 0.251, 0.000)
Cl (0.290, 0.464, 0.245)
Cl (0.344, 0.656, 0.743)
Cl (0.363, 0.884, 0.493)
Cl (0.384, 0.863, 0.993)
Cl (0.399, 0.101, 0.250)
Cl (0.464, 0.290, 0.755)
Cl (0.536, 0.710, 0.245)
Cl (0.601, 0.899, 0.750)
Cl (0.616, 0.137, 0.007)
Cl (0.637, 0.116, 0.507)
Cl (0.656, 0.344, 0.257)
Cl (0.710, 0.536, 0.755)
Cl (0.749, 0.749, 0.000)
Cl (0.751, 0.751, 0.500)
Cl (0.790, 0.964, 0.255)
Cl (0.844, 0.156, 0.757)
Cl (0.863, 0.384, 0.007)
Cl (0.884, 0.363, 0.507)
Cl (0.899, 0.601, 0.250)
Cl (0.964, 0.790, 0.745)

---

Crystalline HfNbTc2 at its relaxed geometry, computed with PBE.

ΔH_f (0 K)   -0.4420 eV per atom
Space group   Fm-3m, No. 225

a = 6.458 Å, b = 6.458 Å, c = 6.458 Å
α = 90.00°, β = 90.00°, γ = 90.00°
Sites, in units of the cell vectors:
Hf (0.000, 0.000, 0.000)
Hf (0.000, 0.500, 0.500)
Hf (0.500, 0.000, 0.500)
Hf (0.500, 0.500, 0.000)
Nb (0.000, 0.000, 0.500)
Nb (0.000, 0.500, 0.000)
Nb (0.500, 0.000, 0.000)
Nb (0.500, 0.500, 0.500)
Tc (0.250, 0.250, 0.250)
Tc (0.250, 0.250, 0.750)
Tc (0.250, 0.750, 0.250)
Tc (0.250, 0.750, 0.750)
Tc (0.750, 0.250, 0.250)
Tc (0.750, 0.250, 0.750)
Tc (0.750, 0.750, 0.250)
Tc (0.750, 0.750, 0.750)

---

Crystalline CaMg14Si at its relaxed geometry, computed with PBE.

ΔH_f (0 K)   0.0397 eV per atom
Total moment   0.00 μB/f.u.
Space group   P-6m2, No. 187

a = 6.396 Å, b = 6.396 Å, c = 10.515 Å
α = 90.00°, β = 90.00°, γ = 120.00°
Sites, in units of the cell vectors:
Ca (0.000, 0.000, 0.000)
Mg (0.008, 0.504, 0.000)
Mg (0.166, 0.331, 0.261)
Mg (0.166, 0.331, 0.739)
Mg (0.166, 0.834, 0.261)
Mg (0.166, 0.834, 0.739)
Mg (0.496, 0.504, 0.000)
Mg (0.496, 0.992, 0.000)
Mg (0.503, 0.005, 0.500)
Mg (0.503, 0.497, 0.500)
Mg (0.667, 0.333, 0.242)
Mg (0.667, 0.333, 0.758)
Mg (0.669, 0.834, 0.261)
Mg (0.669, 0.834, 0.739)
Mg (0.995, 0.497, 0.500)
Si (0.000, 0.000, 0.500)

---

Crystalline CaC2O4 at its relaxed geometry, computed with PBE.

ΔH_f (0 K)   -1.4830 eV per atom
Total moment   0.50 μB/f.u.
Space group   P2/m, No. 10

a = 6.199 Å, b = 7.351 Å, c = 9.868 Å
α = 90.00°, β = 107.41°, γ = 90.00°
Sites, in units of the cell vectors:
Ca (0.019, 0.000, 0.309)
Ca (0.101, 0.500, 0.199)
Ca (0.899, 0.500, 0.801)
Ca (0.981, 0.000, 0.691)
C (0.000, 0.106, 0.000)
C (0.000, 0.393, 0.500)
C (0.000, 0.607, 0.500)
C (0.000, 0.894, 0.000)
C (0.423, 0.500, 0.049)
C (0.488, 0.000, 0.429)
C (0.512, 0.000, 0.571)
C (0.577, 0.500, 0.951)
O (0.043, 0.183, 0.120)
O (0.043, 0.817, 0.120)
O (0.048, 0.315, 0.398)
O (0.048, 0.685, 0.398)
O (0.212, 0.500, 0.986)
O (0.329, 0.000, 0.614)
O (0.369, 0.000, 0.766)
O (0.495, 0.500, 0.818)
O (0.505, 0.500, 0.182)
O (0.631, 0.000, 0.234)
O (0.671, 0.000, 0.386)
O (0.788, 0.500, 0.014)
O (0.952, 0.315, 0.602)
O (0.952, 0.685, 0.602)
O (0.957, 0.183, 0.880)
O (0.957, 0.817, 0.880)

---

The calculation returns the following VASP energy values, one per record and in order: -0.2100; -0.1663; -0.0930; -0.1989; -0.1579; -0.1488; -0.1627; -0.2071; -0.3909; -0.0672; -0.2625 hartree per atom.